# 1
{
  "formula": "KAs",
  "functional": "PBE",
  "state": "optimized geometry",
  "lattice_angstrom": [[-2.775, 1.384, -2.819], [1.865, -3.179, -3.397], [-4.503, -4.840, 2.057]],
  "species": ["K", "As", "K", "As"],
  "fractional_positions": [[0.750, 0.000, 0.760], [0.750, 0.500, 0.108], [0.250, 0.000, 0.240], [0.250, 0.500, 0.892]],
  "volume_a3_per_atom": 36.36,
  "formation_enthalpy_0k_kcal_per_mol_atoms": -7.904,
  "relative_energy_ev_per_atom": 0.111,
  "spacegroup": "No. 51",
  "density_g_cm3": 2.60
}

---

# 2
{
  "formula": "YHo3C8",
  "functional": "PBE",
  "state": "optimized geometry",
  "lattice_angstrom": [[2.918, -0.611, -2.136], [-2.213, -1.113, -2.704], [-0.666, 11.591, -4.224]],
  "species": ["C", "Ho", "Ho", "Y", "Ho", "C", "C", "C", "C", "C", "C", "C"],
  "fractional_positions": [[0.500, 0.500, 0.553], [0.000, 0.000, 0.500], [0.500, 0.500, 0.750], [0.000, 0.000, 0.000], [0.500, 0.500, 0.250], [0.500, 0.500, 0.053], [0.500, 0.500, 0.947], [0.000, 0.000, 0.303], [0.500, 0.500, 0.447], [0.000, 0.000, 0.697], [0.000, 0.000, 0.198], [0.000, 0.000, 0.802]],
  "volume_a3_per_atom": 13.84,
  "formation_enthalpy_0k_kcal_per_mol_atoms": -4.380,
  "spacegroup": "No. 123",
  "density_g_cm3": 6.79
}

---

# 3
{
  "formula": "Si2Bi2Rh3",
  "functional": "PBE",
  "state": "optimized geometry",
  "lattice_angstrom": [[0.756, -6.027, -3.633], [2.741, 1.546, -6.340], [6.638, -2.403, -1.856]],
  "species": ["Bi", "Si", "Si", "Bi", "Rh", "Rh", "Bi", "Rh", "Si", "Rh", "Bi", "Rh", "Si", "Rh"],
  "fractional_positions": [[0.774, 0.774, 0.743], [0.721, 0.293, 0.162], [0.293, 0.721, 0.162], [0.276, 0.276, 0.736], [0.749, 0.251, 0.500], [0.500, 0.000, 0.500], [0.226, 0.226, 0.257], [0.995, 0.995, 0.210], [0.707, 0.279, 0.838], [0.005, 0.005, 0.790], [0.724, 0.724, 0.264], [0.251, 0.749, 0.500], [0.279, 0.707, 0.838], [0.000, 0.500, 0.500]],
  "volume_a3_per_atom": 19.32,
  "formation_enthalpy_0k_kcal_per_mol_atoms": -3.766,
  "spacegroup": "No. 12",
  "density_g_cm3": 9.61
}

---

# 4
{
  "formula": "LiMg14V",
  "functional": "PBE",
  "state": "optimized geometry",
  "lattice_angstrom": [[-3.947, 4.892, -0.855], [-0.264, -3.390, 5.356], [6.753, 6.193, 4.253]],
  "species": ["Mg", "Mg", "V", "Mg", "Mg", "Mg", "Mg", "Mg", "Mg", "Mg", "Mg", "Li", "Mg", "Mg", "Mg", "Mg"],
  "fractional_positions": [[0.833, 0.667, 0.375], [0.665, 0.835, 0.625], [0.167, 0.333, 0.125], [0.842, 0.171, 0.878], [0.329, 0.171, 0.878], [0.665, 0.331, 0.625], [0.833, 0.667, 0.875], [0.329, 0.171, 0.372], [0.666, 0.834, 0.125], [0.169, 0.835, 0.625], [0.329, 0.658, 0.878], [0.167, 0.333, 0.625], [0.329, 0.658, 0.372], [0.168, 0.834, 0.125], [0.842, 0.171, 0.372], [0.666, 0.332, 0.125]],
  "volume_a3_per_atom": 22.00,
  "formation_enthalpy_0k_kcal_per_mol_atoms": 1.768,
  "relative_energy_ev_per_atom": 0.000,
  "spacegroup": "No. 187",
  "density_g_cm3": 1.88
}

---

# 5
{
  "formula": "KNd2Br5",
  "functional": "PBE",
  "state": "optimized geometry",
  "lattice_angstrom": [[7.588, 0.000, 0.000], [0.000, 9.181, 0.000], [0.000, 0.035, 14.236]],
  "species": ["Br", "Br", "Nd", "Nd", "Br", "Br", "Br", "Br", "Br", "Br", "Nd", "Br", "Br", "Br", "Br", "Br", "Nd", "Br", "K", "Nd", "K", "Br", "Br", "K", "Br", "K", "Nd", "Br", "Nd", "Br", "Br", "Nd"],
  "fractional_positions": [[0.047, 0.211, 0.499], [0.160, 0.240, 0.794], [0.104, 0.991, 0.344], [0.533, 0.796, 0.501], [0.340, 0.240, 0.294], [0.851, 0.253, 0.184], [0.149, 0.747, 0.816], [0.840, 0.760, 0.206], [0.193, 0.976, 0.134], [0.547, 0.789, 0.001], [0.967, 0.796, 0.001], [0.673, 0.474, 0.421], [0.351, 0.747, 0.316], [0.807, 0.024, 0.866], [0.660, 0.760, 0.706], [0.173, 0.526, 0.079], [0.396, 0.991, 0.844], [0.307, 0.976, 0.634], [0.555, 0.504, 0.168], [0.896, 0.009, 0.656], [0.945, 0.504, 0.668], [0.827, 0.474, 0.921], [0.453, 0.211, 0.999], [0.055, 0.496, 0.332], [0.327, 0.526, 0.579], [0.445, 0.496, 0.832], [0.033, 0.204, 0.999], [0.649, 0.253, 0.684], [0.467, 0.204, 0.499], [0.693, 0.024, 0.366], [0.953, 0.789, 0.501], [0.604, 0.009, 0.156]],
  "volume_a3_per_atom": 30.99,
  "formation_enthalpy_0k_kcal_per_mol_atoms": -45.729,
  "spacegroup": "No. 14",
  "density_g_cm3": 4.87,
  "energy_mp2020_ev_per_fu": -34.7
}

---

# 6
{
  "formula": "MgTe4Mo2W2S4",
  "functional": "PBE",
  "state": "optimized geometry",
  "lattice_angstrom": [[-3.346, -0.339, 0.176], [1.876, -0.345, 2.776], [-3.790, 42.458, 7.844]],
  "species": ["Te", "Te", "S", "S", "S", "Mg", "S", "Te", "W", "Te", "Mo", "W", "Mo"],
  "fractional_positions": [[0.665, 0.333, 0.050], [0.335, 0.667, 0.701], [0.665, 0.332, 0.512], [0.332, 0.666, 0.243], [0.662, 0.331, 0.442], [0.332, 0.666, 0.374], [0.334, 0.667, 0.312], [0.668, 0.334, 0.137], [0.330, 0.665, 0.477], [0.331, 0.666, 0.614], [0.666, 0.333, 0.278], [0.666, 0.333, 0.658], [0.334, 0.667, 0.094]],
  "volume_a3_per_atom": 32.75,
  "formation_enthalpy_0k_kcal_per_mol_atoms": -12.201,
  "relative_energy_ev_per_atom": 0.000,
  "spacegroup": "No. 8",
  "density_g_cm3": 4.77,
  "energy_mp2020_ev_per_fu": -85.2
}

---

# 7
{
  "formula": "Ni2Mo4C",
  "functional": "PBE",
  "state": "optimized geometry",
  "lattice_angstrom": [[-0.462, -7.697, 2.130], [-7.034, -3.136, 2.165], [-3.675, -5.259, -4.778]],
  "species": ["C", "Ni", "Mo", "C", "Mo", "Mo", "Mo", "Mo", "Mo", "Ni", "Ni", "Mo", "Ni", "C", "Mo", "Ni", "Mo", "Ni", "Mo", "Mo", "Mo", "Mo", "Ni", "C", "Ni", "Mo", "Mo", "Mo"],
  "fractional_positions": [[0.125, 0.625, 0.625], [0.333, 0.333, 0.333], [0.625, 0.125, 0.125], [0.625, 0.625, 0.125], [0.310, 0.690, 0.310], [0.560, 0.940, 0.940], [0.560, 0.560, 0.940], [0.940, 0.560, 0.560], [0.690, 0.690, 0.310], [0.333, 0.333, 0.001], [0.917, 0.917, 0.917], [0.940, 0.560, 0.940], [0.001, 0.333, 0.333], [0.625, 0.625, 0.625], [0.310, 0.690, 0.690], [0.917, 0.249, 0.917], [0.690, 0.310, 0.310], [0.333, 0.001, 0.333], [0.690, 0.310, 0.690], [0.125, 0.125, 0.125], [0.940, 0.940, 0.560], [0.560, 0.940, 0.560], [0.917, 0.917, 0.249], [0.625, 0.125, 0.625], [0.249, 0.917, 0.917], [0.310, 0.310, 0.690], [0.125, 0.625, 0.125], [0.125, 0.125, 0.625]],
  "volume_a3_per_atom": 12.93,
  "formation_enthalpy_0k_kcal_per_mol_atoms": -2.237,
  "spacegroup": "No. 227",
  "density_g_cm3": 9.42
}

---

# 8
{
  "formula": "NaNbCu2S4",
  "functional": "PBE",
  "state": "optimized geometry",
  "lattice_angstrom": [[2.763, -9.211, 0.000], [2.763, 9.211, 0.000], [0.000, 0.000, 7.499]],
  "species": ["S", "Cu", "S", "Na", "Cu", "Nb", "Nb", "S", "S", "S", "S", "Cu", "Cu", "S", "S", "Na"],
  "fractional_positions": [[0.399, 0.613, 0.000], [0.146, 0.358, 0.750], [0.613, 0.399, 0.000], [0.188, 0.826, 0.750], [0.729, 0.729, 0.500], [0.864, 0.640, 0.250], [0.640, 0.864, 0.750], [0.613, 0.399, 0.500], [0.798, 0.218, 0.750], [0.218, 0.798, 0.250], [0.399, 0.613, 0.500], [0.729, 0.729, 0.000], [0.358, 0.146, 0.250], [0.980, 0.992, 0.750], [0.992, 0.980, 0.250], [0.826, 0.188, 0.250]],
  "volume_a3_per_atom": 23.85,
  "formation_enthalpy_0k_kcal_per_mol_atoms": -22.684,
  "relative_energy_ev_per_atom": 0.016,
  "spacegroup": "No. 40",
  "density_g_cm3": 3.23,
  "energy_mp2020_ev_per_fu": -44.0
}

---

# 9
{
  "formula": "Mo4P3",
  "functional": "PBE",
  "state": "optimized geometry",
  "lattice_angstrom": [[3.164, 0.000, 0.000], [0.000, 12.511, 0.000], [0.000, 0.000, 20.568]],
  "species": ["P", "Mo", "P", "Mo", "Mo", "Mo", "Mo", "P", "Mo", "Mo", "P", "Mo", "Mo", "Mo", "Mo", "Mo", "Mo", "P", "Mo", "P", "P", "P", "P", "P", "Mo", "Mo", "Mo", "Mo", "P", "Mo", "Mo", "Mo", "Mo", "P", "Mo", "P", "P", "Mo", "Mo", "P", "Mo", "P", "Mo", "Mo", "P", "P", "P", "Mo", "P", "P", "P", "P", "Mo", "Mo", "P", "Mo"],
  "fractional_positions": [[0.250, 0.200, 0.205], [0.750, 0.615, 0.852], [0.750, 0.484, 0.225], [0.750, 0.099, 0.973], [0.750, 0.703, 0.084], [0.750, 0.380, 0.811], [0.750, 0.405, 0.033], [0.750, 0.254, 0.528], [0.750, 0.702, 0.386], [0.250, 0.095, 0.533], [0.750, 0.518, 0.419], [0.750, 0.491, 0.672], [0.250, 0.901, 0.027], [0.250, 0.885, 0.352], [0.250, 0.509, 0.328], [0.250, 0.401, 0.473], [0.250, 0.120, 0.311], [0.750, 0.984, 0.275], [0.250, 0.009, 0.172], [0.750, 0.179, 0.863], [0.750, 0.679, 0.637], [0.250, 0.321, 0.363], [0.250, 0.516, 0.775], [0.750, 0.459, 0.919], [0.250, 0.694, 0.726], [0.250, 0.620, 0.189], [0.250, 0.385, 0.148], [0.250, 0.297, 0.916], [0.250, 0.016, 0.725], [0.750, 0.203, 0.416], [0.250, 0.595, 0.967], [0.750, 0.806, 0.226], [0.250, 0.797, 0.584], [0.250, 0.041, 0.419], [0.250, 0.298, 0.614], [0.250, 0.700, 0.295], [0.750, 0.959, 0.581], [0.750, 0.202, 0.114], [0.750, 0.115, 0.648], [0.250, 0.482, 0.581], [0.750, 0.905, 0.467], [0.250, 0.246, 0.028], [0.750, 0.599, 0.527], [0.250, 0.194, 0.774], [0.250, 0.982, 0.919], [0.750, 0.018, 0.081], [0.250, 0.746, 0.472], [0.750, 0.880, 0.689], [0.750, 0.754, 0.972], [0.250, 0.821, 0.137], [0.750, 0.800, 0.795], [0.750, 0.300, 0.705], [0.750, 0.991, 0.828], [0.750, 0.306, 0.274], [0.250, 0.541, 0.081], [0.250, 0.798, 0.886]],
  "volume_a3_per_atom": 14.54,
  "formation_enthalpy_0k_kcal_per_mol_atoms": -12.787,
  "spacegroup": "No. 62",
  "density_g_cm3": 7.78
}

---

# 10
{
  "formula": "SiAg3",
  "functional": "PBE",
  "state": "optimized geometry",
  "lattice_angstrom": [[0.913, 2.779, -0.299], [-1.067, -1.455, -2.322], [-8.482, 3.005, 2.016]],
  "species": ["Ag", "Ag", "Ag", "Si"],
  "fractional_positions": [[0.333, 0.667, 0.000], [0.667, 0.333, 0.262], [0.667, 0.333, 0.738], [0.333, 0.667, 0.500]],
  "volume_a3_per_atom": 17.26,
  "formation_enthalpy_0k_kcal_per_mol_atoms": 3.854,
  "spacegroup": "No. 187",
  "density_g_cm3": 8.46
}

---

# 11
{
  "formula": "PrGePd",
  "functional": "PBE",
  "state": "optimized geometry",
  "lattice_angstrom": [[-2.332, -3.584, 1.539], [-0.475, -2.774, -7.179], [19.001, -11.065, 3.019]],
  "species": ["Pd", "Pd", "Pd", "Ge", "Ge", "Pr", "Pd", "Pr", "Pd", "Ge", "Pr", "Ge", "Pd", "Ge", "Pr", "Ge", "Pr", "Ge", "Pd", "Pr", "Ge", "Pd", "Ge", "Pd", "Pr", "Pd", "Pr", "Ge", "Pr", "Ge", "Pr", "Pd", "Pr", "Ge", "Pd", "Pr"],
  "fractional_positions": [[0.750, 0.580, 0.906], [0.250, 0.420, 0.094], [0.250, 0.080, 0.594], [0.250, 0.418, 0.770], [0.750, 0.588, 0.429], [0.250, 0.790, 0.833], [0.750, 0.918, 0.065], [0.250, 0.791, 0.166], [0.750, 0.920, 0.406], [0.250, 0.082, 0.270], [0.750, 0.291, 0.334], [0.750, 0.582, 0.230], [0.750, 0.584, 0.762], [0.250, 0.416, 0.897], [0.750, 0.209, 0.834], [0.750, 0.918, 0.730], [0.250, 0.717, 0.001], [0.750, 0.912, 0.929], [0.250, 0.084, 0.738], [0.750, 0.210, 0.167], [0.250, 0.084, 0.397], [0.750, 0.582, 0.565], [0.750, 0.584, 0.103], [0.250, 0.082, 0.935], [0.250, 0.783, 0.501], [0.250, 0.416, 0.238], [0.750, 0.217, 0.499], [0.250, 0.088, 0.071], [0.250, 0.709, 0.666], [0.250, 0.412, 0.571], [0.750, 0.283, 0.999], [0.250, 0.418, 0.435], [0.250, 0.710, 0.333], [0.750, 0.916, 0.603], [0.750, 0.916, 0.262], [0.750, 0.290, 0.667]],
  "volume_a3_per_atom": 21.60,
  "formation_enthalpy_0k_kcal_per_mol_atoms": -21.507,
  "spacegroup": "No. 62",
  "density_g_cm3": 8.20
}

---

# 12
{
  "formula": "CeTm3",
  "functional": "PBE",
  "state": "optimized geometry",
  "lattice_angstrom": [[0.694, -5.906, 0.989], [-1.383, -1.223, 5.738], [-2.981, 3.020, -4.281]],
  "species": ["Tm", "Tm", "Ce", "Tm"],
  "fractional_positions": [[0.250, 0.750, 0.500], [0.500, 0.500, 0.000], [0.000, 0.000, 0.000], [0.750, 0.250, 0.500]],
  "volume_a3_per_atom": 29.97,
  "formation_enthalpy_0k_kcal_per_mol_atoms": 1.921,
  "spacegroup": "No. 139",
  "density_g_cm3": 8.96
}